The following is a DFT calculation (PBE with a Hubbard U) of a relaxed La2WO6 crystal.

ρ (g/cm³): 6.835
Crystal system: monoclinic
Electronic total energy (eV per cell): -587.22
Energy of formation (kJ/mol of atoms): -315.7

a = 17.062 Å, b = 11.705 Å, c = 5.681 Å
α = 90.00°, β = 107.18°, γ = 90.00°
Space group C2/c (No. 15)
Asymmetric unit:
La  0.000  0.111  0.250 [4 per cell]
La  0.000  0.369  0.750 [4 per cell]
La  0.175  0.115  0.888 [8 per cell]
W  0.152  0.352  0.436 [8 per cell]
O  0.079  0.241  0.580 [8 per cell]
O  0.080  0.462  0.477 [8 per cell]
O  0.093  0.014  0.078 [8 per cell]
O  0.106  0.278  0.133 [8 per cell]
O  0.228  0.446  0.354 [8 per cell]
O  0.230  0.297  0.723 [8 per cell]